(1)
HoZn3 | GGA-PBE | relaxed

Summary:
electronic total energy: -2.45 eV per atom
E_form: -8.397 kcal/mol of atoms

Unit cell a=4.367 b=6.707 c=10.054 alpha=90.00 beta=90.00 gamma=90.00
Atoms (fractional coordinates):
Ho1 0.750 0.720 0.338
Ho2 0.750 0.220 0.162
Zn1 0.250 0.037 0.396
Zn2 0.750 0.963 0.604
Zn3 0.750 0.283 0.457
Zn4 0.750 0.582 0.648
Zn5 0.250 0.217 0.957
Ho3 0.250 0.280 0.662
Zn6 0.250 0.717 0.543
Zn7 0.250 0.918 0.148
Zn8 0.750 0.463 0.896
Zn9 0.250 0.537 0.104
Zn10 0.250 0.418 0.352
Ho4 0.250 0.780 0.838
Zn11 0.750 0.082 0.852
Zn12 0.750 0.783 0.043

---

(2)
HoZn12 | GGA-PBE | relaxed

Summary:
electronic total energy: -1.69 eV per atom
E_form: -4.140 kcal/mol of atoms

Unit cell a=6.759 b=6.759 c=6.759 alpha=99.22 beta=99.22 gamma=132.81
Atoms (fractional coordinates):
Zn1 0.000 0.648 0.648
Zn2 0.648 0.000 0.648
Zn3 0.500 0.000 0.000
Zn4 0.282 0.500 0.782
Zn5 0.000 0.000 0.500
Zn6 0.000 0.352 0.352
Zn7 0.500 0.718 0.218
Zn8 0.718 0.500 0.218
Zn9 0.000 0.500 0.000
Ho1 0.000 0.000 0.000
Zn10 0.500 0.500 0.500
Zn11 0.500 0.282 0.782
Zn12 0.352 0.000 0.352

---

(3)
Ho6Zn23 | GGA-PBE | relaxed

Summary:
electronic total energy: -2.26 eV per atom
E_form: -7.199 kcal/mol of atoms

Unit cell a=8.975 b=8.975 c=8.975 alpha=60.00 beta=60.00 gamma=60.00
Atoms (fractional coordinates):
Ho1 0.293 0.293 0.707
Zn1 0.328 0.015 0.328
Zn2 0.500 0.000 0.000
Zn3 0.878 0.878 0.366
Zn4 0.985 0.672 0.672
Ho2 0.707 0.293 0.293
Zn5 0.878 0.366 0.878
Zn6 0.366 0.878 0.878
Zn7 0.672 0.672 0.672
Zn8 0.500 0.500 0.000
Zn9 0.122 0.122 0.634
Zn10 0.000 0.500 0.000
Zn11 0.634 0.122 0.122
Zn12 0.500 0.000 0.500
Ho3 0.293 0.707 0.293
Zn13 0.328 0.328 0.015
Ho4 0.707 0.707 0.293
Zn14 0.000 0.000 0.500
Zn15 0.015 0.328 0.328
Zn16 0.878 0.878 0.878
Zn17 0.000 0.000 0.000
Zn18 0.000 0.500 0.500
Zn19 0.672 0.985 0.672
Zn20 0.328 0.328 0.328
Zn21 0.122 0.122 0.122
Zn22 0.672 0.672 0.985
Ho5 0.707 0.293 0.707
Ho6 0.293 0.707 0.707
Zn23 0.122 0.634 0.122

---

(4)
HoZr | GGA-PBE | relaxed

Summary:
electronic total energy: -6.48 eV per atom
spin magnetization: 0.004 μB/cell
E_form: 2.074 kcal/mol of atoms

Unit cell a=3.406 b=3.406 c=5.361 alpha=90.00 beta=90.00 gamma=120.00
Atoms (fractional coordinates):
Zr1 0.000 0.000 0.000
Ho1 0.333 0.667 0.500

---

(5)
InI | GGA-PBE | relaxed

Summary:
electronic total energy: -2.60 eV per atom
E_form: -15.132 kcal/mol of atoms

Unit cell a=6.939 b=6.939 c=4.952 alpha=90.00 beta=90.00 gamma=139.01
Atoms (fractional coordinates):
I1 0.857 0.143 0.250
I2 0.143 0.857 0.750
In1 0.605 0.395 0.250
In2 0.395 0.605 0.750

---

(6)
InI4 | GGA-PBE | relaxed

Summary:
electronic total energy: -2.00 eV per atom
spin magnetization: 6.045 μB/cell
E_form: -12.329 kcal/mol of atoms

Unit cell a=14.447 b=14.447 c=14.447 alpha=60.00 beta=60.00 gamma=60.00
Atoms (fractional coordinates):
I1 0.938 0.062 0.717
In1 0.250 0.750 0.250
I2 0.062 0.283 0.717
I3 0.562 0.438 0.217
I4 0.938 0.717 0.283
I5 0.717 0.938 0.062
I6 0.283 0.062 0.938
I7 0.217 0.783 0.562
I8 0.062 0.938 0.283
I9 0.217 0.438 0.783
I10 0.062 0.717 0.938
In2 0.750 0.750 0.250
I11 0.938 0.283 0.062
I12 0.438 0.562 0.783
I13 0.438 0.217 0.562
I14 0.717 0.062 0.283
I15 0.562 0.217 0.783
I16 0.562 0.783 0.438
I17 0.438 0.783 0.217
I18 0.217 0.562 0.438
In3 0.250 0.250 0.750
I19 0.783 0.217 0.438
In4 0.750 0.250 0.250
I20 0.283 0.717 0.062
I21 0.783 0.438 0.562
In5 0.750 0.250 0.750
I22 0.717 0.283 0.938
I23 0.283 0.938 0.717
In6 0.250 0.750 0.750
I24 0.783 0.562 0.217

---

no.,mass density (g/cm³)
1,8.146
2,7.597
3,8.103
4,7.900
5,5.133
6,2.908